This record from Materials Project describes a relaxed Mn4Be3Si3SeO12 crystal. The functional is GGA+U.

a = 8.4449 Å, b = 8.4449 Å, c = 8.4449 Å
α = 90.00°, β = 90.00°, γ = 90.00°
Last column: nearest neighbours and their distance in Å.
Fractional coordinates of all 46 atoms:
Se (0.0000, 0.0000, 0.0000)  4 Mn 2.60
Se (0.5000, 0.5000, 0.5000)  4 Mn 2.60
O (0.3572, 0.6428, 0.0781)  1 Be 1.65, 1 Si 1.65
O (0.9219, 0.6428, 0.6428)  1 Be 1.65, 1 Si 1.65
O (0.8572, 0.4219, 0.8572)  1 Be 1.65, 1 Si 1.65
O (0.9219, 0.3572, 0.3572)  1 Be 1.65, 1 Si 1.65
O (0.8572, 0.5781, 0.1428)  1 Be 1.65, 1 Si 1.65
O (0.4219, 0.8572, 0.8572)  1 Be 1.65, 1 Si 1.65
O (0.6428, 0.9219, 0.6428)  1 Be 1.65, 1 Si 1.65
O (0.5781, 0.1428, 0.8572)  1 Be 1.65, 1 Si 1.65
O (0.5781, 0.8572, 0.1428)  1 Be 1.65, 1 Si 1.65
O (0.8572, 0.8572, 0.4219)  1 Be 1.65, 1 Si 1.65
O (0.6428, 0.0781, 0.3572)  1 Be 1.65, 1 Si 1.65
O (0.3572, 0.3572, 0.9219)  1 Be 1.65, 1 Si 1.65
O (0.3572, 0.0781, 0.6428)  1 Be 1.65, 1 Si 1.65
O (0.0781, 0.3572, 0.6428)  1 Be 1.65, 1 Si 1.65
O (0.1428, 0.4219, 0.1428)  1 Be 1.65, 1 Si 1.65
O (0.3572, 0.9219, 0.3572)  1 Be 1.65, 1 Si 1.65
O (0.1428, 0.1428, 0.4219)  1 Be 1.65, 1 Si 1.65
O (0.6428, 0.3572, 0.0781)  1 Be 1.65, 1 Si 1.65
O (0.1428, 0.5781, 0.8572)  1 Be 1.65, 1 Si 1.65
O (0.0781, 0.6428, 0.3572)  1 Be 1.65, 1 Si 1.65
O (0.1428, 0.8572, 0.5781)  1 Be 1.65, 1 Si 1.65
O (0.4219, 0.1428, 0.1428)  1 Be 1.65, 1 Si 1.65
O (0.6428, 0.6428, 0.9219)  1 Be 1.65, 1 Si 1.65
O (0.8572, 0.1428, 0.5781)  1 Be 1.65, 1 Si 1.65
Be (0.5000, 0.0000, 0.7500)  4 O 1.65
Be (0.2500, 0.5000, 0.0000)  4 O 1.65
Be (0.5000, 0.0000, 0.2500)  4 O 1.65
Be (0.0000, 0.2500, 0.5000)  4 O 1.65
Be (0.7500, 0.5000, 0.0000)  4 O 1.65
Be (0.0000, 0.7500, 0.5000)  4 O 1.65
Mn (0.6780, 0.6780, 0.6780)  3 O 2.10
Mn (0.8220, 0.8220, 0.1780)  3 O 2.10
Mn (0.1780, 0.8220, 0.8220)  3 O 2.10
Mn (0.3220, 0.3220, 0.6780)  3 O 2.10
Mn (0.1780, 0.1780, 0.1780)  3 O 2.10
Mn (0.3220, 0.6780, 0.3220)  3 O 2.10
Mn (0.6780, 0.3220, 0.3220)  3 O 2.10
Mn (0.8220, 0.1780, 0.8220)  3 O 2.10
Si (0.0000, 0.5000, 0.7500)  4 O 1.65
Si (0.5000, 0.7500, 0.0000)  4 O 1.65
Si (0.7500, 0.0000, 0.5000)  4 O 1.65
Si (0.5000, 0.2500, 0.0000)  4 O 1.65
Si (0.0000, 0.5000, 0.2500)  4 O 1.65
Si (0.2500, 0.0000, 0.5000)  4 O 1.65

Results
Calculated density: 3.3 g/cm3
Formation enthalpy at 0 K: -263.3 kJ per mole of atoms
Total DFT energy (no corrections): -0.559 Ry/atom
Piezoelectric modulus e_max: 0.2 C/m²

=====

This record from Materials Project describes a relaxed Al2NiO4 crystal. The functional is GGA+U.

a = 5.7597 Å, b = 5.7597 Å, c = 13.9951 Å
α = 89.90°, β = 89.90°, γ = 60.14°
Last column: nearest neighbours and their distance in Å.
Fractional coordinates of all 42 atoms:
Ni (0.3347, 0.3347, 0.0417)  4 O 1.94-1.99
Ni (0.8329, 0.8329, 0.1675)  6 O 2.02-2.08
Ni (0.5001, 0.5001, 0.4997)  6 O 2.04-2.07
Ni (0.3344, 0.3344, 0.6666)  6 O 2.04-2.10
Ni (0.1690, 0.1690, 0.8323)  6 O 2.02-2.07
Ni (0.6660, 0.6660, 0.3326)  6 O 2.04-2.09
Al (0.6742, 0.6742, 0.7084)  4 O 1.78-1.82
Al (0.6659, 0.1702, 0.8318)  6 O 1.86-2.02
Al (0.0049, 0.0049, 0.3789)  4 O 1.80-1.84
Al (0.1702, 0.6659, 0.8318)  6 O 1.86-2.02
Al (0.8331, 0.3288, 0.1674)  6 O 1.87-1.98
Al (0.5004, 0.0001, 0.4993)  6 O 1.89-1.98
Al (0.3268, 0.3268, 0.2879)  4 O 1.79-1.85
Al (0.6605, 0.6605, 0.9599)  4 O 1.80-1.91
Al (0.9953, 0.9953, 0.6221)  4 O 1.79-1.85
Al (0.3288, 0.8331, 0.1674)  6 O 1.87-1.98
Al (0.9993, 0.9993, 0.0040)  6 O 1.86-2.00
Al (0.0001, 0.5004, 0.4993)  6 O 1.89-1.98
O (0.1691, 0.1691, 0.5774)  3 Al 1.84-1.98
O (0.1629, 0.7038, 0.0850)  2 Al 1.86-1.87, 2 Ni 1.94-2.02
O (0.3471, 0.3471, 0.9002)  2 Al 1.86, 2 Ni 1.98-2.02
O (0.4854, 0.9908, 0.2441)  2 Al 1.79-1.90
O (0.1547, 0.6580, 0.5783)  2 Al 1.79-1.91
O (0.4996, 0.4996, 0.2420)  3 Al 1.84-1.96
O (0.7038, 0.1629, 0.0850)  2 Al 1.86-1.87, 2 Ni 1.94-2.02
O (0.3119, 0.8328, 0.9177)  3 Al 1.84-1.97
O (0.8453, 0.3428, 0.4225)  2 Al 1.80-1.89
O (0.6573, 0.6573, 0.0887)  3 Al 1.80-1.98
O (0.6756, 0.6756, 0.5783)  3 Al 1.82-1.96
O (0.3249, 0.3249, 0.4203)  3 Al 1.85-1.96, 1 Ni 2.07
O (0.3428, 0.8453, 0.4225)  2 Al 1.80-1.89
O (0.5038, 0.5038, 0.7551)  3 Al 1.82-1.98
O (0.0068, 0.5161, 0.7546)  2 Al 1.78-1.90
O (0.9925, 0.9925, 0.7546)  3 Al 1.85-1.96, 1 Ni 2.07
O (0.8309, 0.8309, 0.4236)  3 Al 1.84-1.96
O (0.8328, 0.3119, 0.9177)  3 Al 1.84-1.97
O (0.0061, 0.0061, 0.2502)  3 Al 1.80-1.98
O (0.9908, 0.4854, 0.2441)  2 Al 1.79-1.90
O (0.1463, 0.1463, 0.0899)  3 Al 1.90-1.91, 1 Ni 1.99
O (0.6580, 0.1547, 0.5783)  2 Al 1.79-1.91
O (0.8417, 0.8417, 0.9163)  4 Al 1.91-2.02
O (0.5161, 0.0068, 0.7546)  2 Al 1.78-1.90

Results
Relative energy among the computed polymorphs: 0.13 kcal/mol of atoms
Calculated density: 4.4 g/cm3
Formation enthalpy at 0 K: -269.9 kJ per mole of atoms
Total DFT energy (no corrections): -0.497 Ry/atom